# GGA-PBE TlHO, relaxed
data_TlHO
_cell_length_a 4.4389
_cell_length_b 4.4389
_cell_length_c 21.7874
_cell_angle_alpha 91.56
_cell_angle_beta 91.56
_cell_angle_gamma 91.98
_symmetry_space_group_name_H-M 'P 1'
_symmetry_Int_Tables_number 1
loop_
_symmetry_equiv_pos_as_xyz
'x,y,z'
loop_
_atom_site_label
_atom_site_fract_x
_atom_site_fract_y
_atom_site_fract_z
Tl1 0.0074 0.0074 0.3067
Tl2 0.0087 0.4952 0.0543
Tl3 0.4902 0.4817 0.1975
Tl4 0.4981 0.0262 0.4517
Tl5 0.5048 0.9913 0.9457
Tl6 0.5183 0.5098 0.8025
Tl7 0.9738 0.5019 0.5483
Tl8 0.9926 0.9926 0.6933
H1 0.0252 0.4867 0.9110
H2 0.0428 0.0101 0.8343
H3 0.0542 0.5252 0.4005
H4 0.4748 0.9458 0.5995
H5 0.4890 0.4483 0.6597
H6 0.5133 0.9748 0.0890
H7 0.5517 0.5110 0.3403
H8 0.9899 0.9572 0.1657
O1 0.1756 0.5127 0.9443
O2 0.1842 0.0294 0.8011
O3 0.1860 0.5476 0.4372
O4 0.4524 0.8141 0.5628
O5 0.4659 0.3131 0.6939
O6 0.4873 0.8244 0.0557
O7 0.6869 0.5341 0.3061
O8 0.9706 0.8158 0.1989
# Energy above the lowest structure with this stoichiometry = 0 meV per atom

---

Material: LiB6H21N5
Method: DFT, GGA-PBE
State: relaxed

```
data_LiB6H21N5
_cell_length_a 9.8119
_cell_length_b 8.8183
_cell_length_c 17.7373
_cell_angle_alpha 90.00
_cell_angle_beta 111.24
_cell_angle_gamma 90.00
_symmetry_space_group_name_H-M 'P 1'
_symmetry_Int_Tables_number 1
loop_
_symmetry_equiv_pos_as_xyz
'x,y,z'
loop_
_atom_site_label
_atom_site_fract_x
_atom_site_fract_y
_atom_site_fract_z
Li1 0.0469 0.1089 0.1449
Li2 0.0469 0.3911 0.6449
Li3 0.9531 0.6089 0.3551
Li4 0.9531 0.8911 0.8551
B1 0.3364 0.0882 0.4724
B2 0.3364 0.4118 0.9724
B3 0.3596 0.5840 0.9262
B4 0.3596 0.9160 0.4262
B5 0.3714 0.5837 0.0287
B6 0.3714 0.9163 0.5287
B7 0.4407 0.0862 0.4086
B8 0.4407 0.4138 0.9086
B9 0.4598 0.0870 0.5744
B10 0.4598 0.4130 0.0744
B11 0.4974 0.6922 0.9998
B12 0.4974 0.8078 0.4998
B13 0.5026 0.1922 0.5002
B14 0.5026 0.3078 0.0002
B15 0.5402 0.5870 0.9256
B16 0.5402 0.9130 0.4256
B17 0.5593 0.5862 0.0914
B18 0.5593 0.9138 0.5914
B19 0.6286 0.0837 0.4713
B20 0.6286 0.4163 0.9713
B21 0.6404 0.0840 0.5738
B22 0.6404 0.4160 0.0738
B23 0.6636 0.5882 0.0276
B24 0.6636 0.9118 0.5276
H1 0.0107 0.2364 0.7621
H2 0.0107 0.2636 0.2621
H3 0.0274 0.6226 0.9248
H4 0.0274 0.8774 0.4248
H5 0.0888 0.1077 0.3059
H6 0.0888 0.3923 0.8059
H7 0.0886 0.6105 0.2478
H8 0.0886 0.8895 0.7478
H9 0.1228 0.1609 0.5589
H10 0.1228 0.3391 0.0589
H11 0.1326 0.1023 0.6473
H12 0.1326 0.3977 0.1473
H13 0.1355 0.0153 0.9958
H14 0.1355 0.4847 0.4958
H15 0.1941 0.0755 0.9269
H16 0.1941 0.4245 0.4269
H17 0.2196 0.1513 0.4528
H18 0.2196 0.3487 0.9528
H19 0.2223 0.6001 0.4571
H20 0.2223 0.8999 0.9571
H21 0.2284 0.6414 0.6470
H22 0.2284 0.8586 0.1470
H23 0.2598 0.6444 0.8735
H24 0.2598 0.8556 0.3735
H25 0.2802 0.6434 0.0495
H26 0.2802 0.8566 0.5495
H27 0.2809 0.5461 0.7317
H28 0.2809 0.9539 0.2317
H29 0.3181 0.0166 0.1552
H30 0.3181 0.4834 0.6552
H31 0.3642 0.0674 0.8050
H32 0.3642 0.4326 0.3050
H33 0.3724 0.6174 0.3139
H34 0.3724 0.8826 0.8139
H35 0.3799 0.5365 0.2321
H36 0.3799 0.9635 0.7321
H37 0.3988 0.1474 0.3434
H38 0.3988 0.3526 0.8434
H39 0.4314 0.1490 0.6274
H40 0.4314 0.3510 0.1274
H41 0.4957 0.6716 0.4998
H42 0.4957 0.8284 0.9998
H43 0.5043 0.1716 0.0002
H44 0.5043 0.3284 0.5002
H45 0.5686 0.6490 0.8726
H46 0.5686 0.8510 0.3726
H47 0.6012 0.6474 0.1566
H48 0.6012 0.8526 0.6566
H49 0.6201 0.0365 0.2679
H50 0.6201 0.4635 0.7679
H51 0.6276 0.1174 0.1861
H52 0.6276 0.3826 0.6861
H53 0.6358 0.5674 0.6950
H54 0.6358 0.9326 0.1950
H55 0.6819 0.5166 0.3448
H56 0.6819 0.9834 0.8448
H57 0.7191 0.0461 0.7683
H58 0.7191 0.4539 0.2683
H59 0.7198 0.1434 0.4505
H60 0.7198 0.3566 0.9505
H61 0.7402 0.1444 0.6265
H62 0.7402 0.3556 0.1265
H63 0.7716 0.1414 0.8530
H64 0.7716 0.3586 0.3530
H65 0.7777 0.1001 0.0429
H66 0.7777 0.3999 0.5429
H67 0.7804 0.6513 0.0472
H68 0.7804 0.8487 0.5472
H69 0.8059 0.5755 0.5731
H70 0.8059 0.9245 0.0731
H71 0.8645 0.5153 0.5042
H72 0.8645 0.9847 0.0042
H73 0.8674 0.6023 0.8527
H74 0.8674 0.8977 0.3527
H75 0.8772 0.6609 0.9411
H76 0.8772 0.8391 0.4411
H77 0.9114 0.1105 0.2522
H78 0.9114 0.3895 0.7522
H79 0.9112 0.6077 0.1941
H80 0.9112 0.8923 0.6941
H81 0.9726 0.1226 0.5752
H82 0.9726 0.3774 0.0752
H83 0.9893 0.7364 0.7379
H84 0.9893 0.7636 0.2379
N1 0.0115 0.1488 0.2539
N2 0.0115 0.3512 0.7539
N3 0.0735 0.1718 0.6006
N4 0.0735 0.3282 0.1006
N5 0.1453 0.5156 0.4423
N6 0.1453 0.9844 0.9423
N7 0.2374 0.5338 0.6700
N8 0.2374 0.9662 0.1700
N9 0.3297 0.5313 0.2735
N10 0.3297 0.9687 0.7735
N11 0.6703 0.0313 0.2265
N12 0.6703 0.4687 0.7265
N13 0.7626 0.0338 0.8300
N14 0.7626 0.4662 0.3300
N15 0.8547 0.0156 0.0577
N16 0.8547 0.4844 0.5577
N17 0.9265 0.6718 0.8994
N18 0.9265 0.8282 0.3994
N19 0.9885 0.6488 0.2461
N20 0.9885 0.8512 0.7461
```

---

Material: Mn2OsC6N6
Method: DFT, GGA-PBE
State: relaxed

```
data_Mn2OsC6N6
_cell_length_a 6.0850
_cell_length_b 6.0850
_cell_length_c 6.7537
_cell_angle_alpha 90.00
_cell_angle_beta 90.00
_cell_angle_gamma 120.00
_symmetry_space_group_name_H-M 'P 1'
_symmetry_Int_Tables_number 1
loop_
_symmetry_equiv_pos_as_xyz
'x,y,z'
loop_
_atom_site_label
_atom_site_fract_x
_atom_site_fract_y
_atom_site_fract_z
Mn1 0.3333 0.6667 0.0000
Mn2 0.6667 0.3333 0.0000
Os1 0.0000 0.0000 0.5000
C1 0.0000 0.2571 0.6871
C2 0.0000 0.7429 0.3129
C3 0.2571 0.0000 0.6871
C4 0.2571 0.2571 0.3129
C5 0.7429 0.0000 0.3129
C6 0.7429 0.7429 0.6871
N1 0.0000 0.3902 0.8157
N2 0.0000 0.6098 0.1843
N3 0.3902 0.0000 0.8157
N4 0.3902 0.3902 0.1843
N5 0.6098 0.0000 0.1843
N6 0.6098 0.6098 0.8157
```

---

Material: Na2MgAlF7
Method: DFT, GGA-PBE
State: relaxed

```
data_Na2MgAlF7
_cell_length_a 7.2312
_cell_length_b 7.2312
_cell_length_c 7.2312
_cell_angle_alpha 120.66
_cell_angle_beta 91.04
_cell_angle_gamma 118.16
_symmetry_space_group_name_H-M 'P 1'
_symmetry_Int_Tables_number 1
loop_
_symmetry_equiv_pos_as_xyz
'x,y,z'
loop_
_atom_site_label
_atom_site_fract_x
_atom_site_fract_y
_atom_site_fract_z
Na1 0.0000 0.0000 0.0000
Na2 0.5000 0.0000 0.0000
Na3 0.5000 0.0000 0.5000
Na4 0.5000 0.5000 0.5000
Mg1 0.0000 0.0000 0.5000
Mg2 0.0000 0.5000 0.0000
Al1 0.0000 0.5000 0.5000
Al2 0.5000 0.5000 0.0000
F1 0.0445 0.2467 0.4282
F2 0.0445 0.6162 0.7978
F3 0.1124 0.8624 0.2500
F4 0.3078 0.7212 0.5866
F5 0.3185 0.2467 0.7022
F6 0.3185 0.6162 0.0718
F7 0.3654 0.2788 0.0866
F8 0.6346 0.7212 0.9134
F9 0.6815 0.3838 0.9282
F10 0.6815 0.7533 0.2978
F11 0.6922 0.2788 0.4134
F12 0.8876 0.1376 0.7500
F13 0.9555 0.3838 0.2022
F14 0.9555 0.7533 0.5718
```

---

Material: Dy6Co2Sn
Method: DFT, GGA-PBE
State: relaxed

```
data_Dy6Co2Sn
_cell_length_a 8.3783
_cell_length_b 8.3783
_cell_length_c 8.3783
_cell_angle_alpha 112.16
_cell_angle_beta 109.42
_cell_angle_gamma 106.88
_symmetry_space_group_name_H-M 'P 1'
_symmetry_Int_Tables_number 1
loop_
_symmetry_equiv_pos_as_xyz
'x,y,z'
loop_
_atom_site_label
_atom_site_fract_x
_atom_site_fract_y
_atom_site_fract_z
Dy1 0.0241 0.2339 0.7903
Dy2 0.1854 0.2857 0.4711
Dy3 0.1854 0.7143 0.8997
Dy4 0.3221 0.0115 0.6894
Dy5 0.3221 0.6328 0.3106
Dy6 0.4436 0.2339 0.2097
Dy7 0.5564 0.7661 0.7903
Dy8 0.6779 0.3672 0.6894
Dy9 0.6779 0.9885 0.3106
Dy10 0.8146 0.2857 0.1003
Dy11 0.8146 0.7143 0.5289
Dy12 0.9759 0.7661 0.2097
Co1 0.1122 0.6122 0.5000
Co2 0.3528 0.0000 0.3528
Co3 0.6472 0.0000 0.6472
Co4 0.8878 0.3878 0.5000
Sn1 0.0000 0.0000 0.0000
Sn2 0.5000 0.5000 0.0000
```

---

Material: MoWN3
Method: DFT, GGA-PBE
State: relaxed

```
data_MoWN3
_cell_length_a 5.9560
_cell_length_b 7.3766
_cell_length_c 7.7900
_cell_angle_alpha 104.02
_cell_angle_beta 105.50
_cell_angle_gamma 106.30
_symmetry_space_group_name_H-M 'P 1'
_symmetry_Int_Tables_number 1
loop_
_symmetry_equiv_pos_as_xyz
'x,y,z'
loop_
_atom_site_label
_atom_site_fract_x
_atom_site_fract_y
_atom_site_fract_z
Mo1 0.1653 0.2702 0.4261
Mo2 0.1725 0.9430 0.1013
Mo3 0.8275 0.0570 0.8987
Mo4 0.8347 0.7298 0.5739
W1 0.2352 0.5790 0.1583
W2 0.2629 0.1611 0.8054
W3 0.7371 0.8389 0.1946
W4 0.7648 0.4210 0.8417
N1 0.0932 0.3459 0.9278
N2 0.1363 0.4760 0.3417
N3 0.1617 0.9136 0.6201
N4 0.3551 0.1804 0.2851
N5 0.4017 0.3580 0.6835
N6 0.4029 0.8004 0.0569
N7 0.5971 0.1996 0.9431
N8 0.5983 0.6420 0.3165
N9 0.6449 0.8196 0.7149
N10 0.8383 0.0864 0.3799
N11 0.8637 0.5240 0.6583
N12 0.9068 0.6541 0.0722
```

---

Calculated formation energy (computed, eV/f.u.): -3.05 -13.57 -0.06 -39.37 -2.98 -0.81
Uncorrected energy (computed, eV/f.u.): -13.1 -166.7 -132.8 -57.5 -48.8 -48.5